# 1
Entry from the Materials Project database: a relaxed Te2Mo2WSe2S2 crystal (PBE).

* E (MP2020): -61.83 eV per formula unit
* space group: P3m1, No. 156
* relative energy among the computed polymorphs: 20 meV per atom
* crystal system: trigonal

a = 3.349 Å, b = 3.349 Å, c = 30.953 Å
α = 90.00°, β = 90.00°, γ = 120.00°
Fractional positions:
Te: 0.000 0.000 0.000
Te: 0.000 0.000 0.122
Mo: 0.000 0.000 0.293
Mo: 0.667 0.333 0.061
W: 0.667 0.333 0.524
Se: 0.000 0.000 0.470
Se: 0.000 0.000 0.578
S: 0.667 0.333 0.244
S: 0.667 0.333 0.341

# 2
Entry from the Materials Project database: a relaxed Hf5Ir3 crystal (PBE).

* space group: P6_122, No. 178
* relative energy among the computed polymorphs: 0 meV per atom
* crystal system: hexagonal

a = 7.919 Å, b = 7.919 Å, c = 17.035 Å
α = 90.00°, β = 90.00°, γ = 120.00°
Fractional positions:
Hf: 0.000 0.245 0.333
Hf: 0.000 0.755 0.833
Hf: 0.007 0.237 0.993
Hf: 0.007 0.770 0.174
Hf: 0.230 0.237 0.507
Hf: 0.230 0.993 0.660
Hf: 0.237 0.007 0.340
Hf: 0.237 0.230 0.826
Hf: 0.245 0.000 0.000
Hf: 0.245 0.245 0.167
Hf: 0.250 0.625 0.583
Hf: 0.308 0.654 0.083
Hf: 0.346 0.654 0.417
Hf: 0.346 0.692 0.750
Hf: 0.375 0.625 0.917
Hf: 0.375 0.750 0.250
Hf: 0.625 0.250 0.750
Hf: 0.625 0.375 0.417
Hf: 0.654 0.308 0.250
Hf: 0.654 0.346 0.917
Hf: 0.692 0.346 0.583
Hf: 0.750 0.375 0.083
Hf: 0.755 0.000 0.500
Hf: 0.755 0.755 0.667
Hf: 0.763 0.770 0.326
Hf: 0.763 0.993 0.840
Hf: 0.770 0.007 0.160
Hf: 0.770 0.763 0.007
Hf: 0.993 0.230 0.674
Hf: 0.993 0.763 0.493
Ir: 0.000 0.385 0.833
Ir: 0.000 0.615 0.333
Ir: 0.021 0.414 0.190
Ir: 0.021 0.607 0.977
Ir: 0.385 0.000 0.500
Ir: 0.385 0.385 0.667
Ir: 0.393 0.414 0.310
Ir: 0.393 0.979 0.856
Ir: 0.414 0.021 0.144
Ir: 0.414 0.393 0.023
Ir: 0.586 0.607 0.523
Ir: 0.586 0.979 0.644
Ir: 0.607 0.021 0.356
Ir: 0.607 0.586 0.810
Ir: 0.615 0.000 0.000
Ir: 0.615 0.615 0.167
Ir: 0.979 0.393 0.477
Ir: 0.979 0.586 0.690

Short version: E_form = -626, -824 meV per atom, in the order given.
Short version: calculated density = 4.710, 15.819 Mg/m³, in the order given.
Short version: E = -60.82, -82.89 eV/f.u., in the order given.